Below is a relaxed CePuCo4 crystal, with properties calculated at the PBE-GGA level.

abc: 6.9479 6.9479 6.9479
angles: 90.00 90.00 90.00
Space group F-43m (No. 216)
Asymmetric unit:
Ce (0.0000, 0.0000, 0.0000) x4
Pu (0.2500, 0.2500, 0.2500) x4
Co (0.1231, 0.1231, 0.6231) x16

Results
calculated total energy: -8.201 eV/atom
formation energy: -0.095 eV per atom
V: 13.97 Å³ per atom
total magnetization: 8.6 μB/f.u.